# 1
This record from Materials Project describes LiTiO2 after structural relaxation. The functional is PBE-GGA.

Geometry as extended XYZ:
```
4
Lattice="1.459 0.842 5.226 -1.459 0.842 5.226 0.000 -1.684 5.226" Properties=species:S:1:pos:R:3 pbc="T T T"
Li 0.000 0.000 0.000
Ti 0.000 0.000 12.962
O 0.000 0.000 3.690
O 0.000 0.000 6.531
```

- Crystal system: trigonal
- Energy with MP2020 corrections: -7.819 eV/atom
- Energy of formation from the pure elements: -11.57 eV per formula unit


# 2
This record from Materials Project describes CdIn3Te4As after structural relaxation. The functional is PBE-GGA.

Geometry as extended XYZ:
```
9
Lattice="6.398 0.000 0.000 3.178 7.074 0.000 3.160 -0.061 7.164" Properties=species:S:1:pos:R:3 pbc="T T T"
Cd 0.000 0.000 0.000
In 3.263 2.695 1.418
In 6.392 5.714 2.773
In 6.334 1.303 4.165
Te 4.723 2.204 6.344
Te 4.911 4.844 0.519
Te 8.075 3.532 3.665
Te 11.058 6.139 4.979
As 4.821 0.643 2.073
```

- Crystal system: triclinic
- Energy of formation from the pure elements: -3.00 eV per formula unit